Entry from the Materials Project: crystalline ErZrF7 at its relaxed geometry (PBE).

Cell: 5.701 6.086 8.271 Å, 102.35 90.00 90.00°
Fractional positions:
Er 0.698 0.654 0.683
Er 0.198 0.346 0.317
Zr 0.708 0.812 0.224
Zr 0.208 0.188 0.776
F 0.890 0.454 0.478
F 0.390 0.546 0.522
F 0.428 0.921 0.766
F 0.928 0.079 0.234
F 0.942 0.957 0.760
F 0.442 0.043 0.240
F 0.993 0.458 0.787
F 0.493 0.542 0.213
F 0.702 0.755 0.973
F 0.202 0.245 0.027
F 0.710 0.860 0.476
F 0.210 0.140 0.524
F 0.505 0.381 0.780
F 0.005 0.619 0.220

Entry from the Materials Project: crystalline ErFe2 at its relaxed geometry (PBE).

Cell: 5.103 5.103 5.103 Å, 60.00 60.00 60.00°
Fractional positions:
Er 0.500 0.500 0.500
Er 0.750 0.750 0.750
Fe 0.625 0.125 0.125
Fe 0.125 0.125 0.625
Fe 0.125 0.625 0.125
Fe 0.125 0.125 0.125

Entry from the Materials Project: crystalline ErFe3 at its relaxed geometry (PBE).

Cell: 8.560 8.560 8.560 Å, 34.43 34.43 34.43°
Fractional positions:
Er 0.142 0.142 0.142
Er 0.000 0.000 0.000
Er 0.858 0.858 0.858
Fe 0.418 0.418 0.918
Fe 0.918 0.418 0.418
Fe 0.582 0.082 0.582
Fe 0.582 0.582 0.082
Fe 0.418 0.918 0.418
Fe 0.082 0.582 0.582
Fe 0.333 0.333 0.333
Fe 0.667 0.667 0.667
Fe 0.500 0.500 0.500

Entry from the Materials Project: crystalline Er4Fe at its relaxed geometry (PBE).

Size of the total moment: 0.000 μB per formula unit

Cell: 7.372 7.372 7.372 Å, 60.00 60.00 60.00°
Fractional positions:
Er 0.385 0.385 0.385
Er 0.385 0.385 0.845
Er 0.385 0.845 0.385
Er 0.865 0.865 0.405
Er 0.865 0.865 0.865
Er 0.845 0.385 0.385
Er 0.865 0.405 0.865
Er 0.405 0.865 0.865
Fe 0.000 0.000 0.000
Fe 0.250 0.250 0.250

Entry from the Materials Project: crystalline Er6Fe23 at its relaxed geometry (PBE).

Size of the total moment: 50.948 μB per formula unit

Cell: 8.453 8.453 8.453 Å, 60.00 60.00 60.00°
Fractional positions:
Er 0.790 0.210 0.790
Er 0.210 0.210 0.790
Er 0.790 0.790 0.210
Er 0.790 0.210 0.210
Er 0.210 0.790 0.790
Er 0.210 0.790 0.210
Fe 0.825 0.825 0.825
Fe 0.474 0.175 0.175
Fe 0.175 0.175 0.474
Fe 0.175 0.474 0.175
Fe 0.825 0.825 0.526
Fe 0.825 0.526 0.825
Fe 0.500 0.500 0.500
Fe 0.000 0.500 0.000
Fe 0.500 0.000 0.000
Fe 0.000 0.500 0.500
Fe 0.500 0.000 0.500
Fe 0.000 0.000 0.500
Fe 0.500 0.500 0.000
Fe 0.379 0.379 0.379
Fe 0.136 0.621 0.621
Fe 0.621 0.136 0.621
Fe 0.621 0.621 0.136
Fe 0.379 0.864 0.379
Fe 0.379 0.379 0.864
Fe 0.864 0.379 0.379
Fe 0.621 0.621 0.621
Fe 0.175 0.175 0.175
Fe 0.526 0.825 0.825

Entry from the Materials Project: crystalline ErFe2 at its relaxed geometry (PBE).

Size of the total moment: 3.377 μB per formula unit

Cell: 5.130 5.130 8.303 Å, 90.00 90.00 120.04°
Fractional positions:
Er 0.667 0.333 0.562
Er 0.333 0.667 0.438
Er 0.333 0.667 0.062
Er 0.667 0.333 0.938
Fe 0.000 0.000 0.500
Fe 0.000 0.000 0.000
Fe 0.166 0.331 0.750
Fe 0.166 0.834 0.750
Fe 0.669 0.834 0.750
Fe 0.834 0.669 0.250
Fe 0.834 0.166 0.250
Fe 0.331 0.166 0.250

Entry from the Materials Project: crystalline ErGa6Fe6 at its relaxed geometry (PBE).

Distance to the lowest polymorph of the same formula: 0.153 eV per atom
Size of the total moment: 13.241 μB per formula unit

Cell: 5.203 6.557 6.686 Å, 98.88 112.90 66.62°
Fractional positions:
Er 0.000 0.000 0.000
Ga 0.500 0.500 0.000
Ga 0.000 0.500 0.000
Ga 0.650 0.334 0.634
Ga 0.350 0.666 0.366
Ga 0.016 0.334 0.366
Ga 0.984 0.666 0.634
Fe 0.710 0.798 0.217
Fe 0.290 0.202 0.783
Fe 0.492 0.798 0.783
Fe 0.508 0.202 0.217
Fe 0.500 0.000 0.500
Fe 0.000 0.000 0.500

Entry from the Materials Project: crystalline Er2Ga8Fe at its relaxed geometry (PBE).

Size of the total moment: 0.001 μB per formula unit

Cell: 4.246 4.246 11.043 Å, 90.00 90.00 90.00°
Fractional positions:
Er 0.000 0.000 0.696
Er 0.000 0.000 0.304
Ga 0.500 0.000 0.885
Ga 0.000 0.500 0.885
Ga 0.500 0.000 0.115
Ga 0.000 0.500 0.115
Ga 0.500 0.000 0.500
Ga 0.000 0.500 0.500
Ga 0.500 0.500 0.699
Ga 0.500 0.500 0.301
Fe 0.000 0.000 0.000

Entry from the Materials Project: crystalline ErGa6Fe6 at its relaxed geometry (PBE).

Distance to the lowest polymorph of the same formula: 0.000 eV per atom
Size of the total moment: 11.050 μB per formula unit

Cell: 5.026 6.562 6.562 Å, 80.61 67.48 67.48°
Fractional positions:
Er 0.000 0.000 0.000
Ga 0.000 0.666 0.334
Ga 0.000 0.334 0.666
Ga 0.343 0.657 0.657
Ga 0.657 0.343 0.343
Ga 0.320 0.180 0.180
Ga 0.680 0.820 0.820
Fe 0.500 0.244 0.756
Fe 0.500 0.756 0.244
Fe 0.000 0.500 0.000
Fe 0.500 0.500 0.000
Fe 0.000 0.000 0.500
Fe 0.500 0.000 0.500

Entry from the Materials Project: crystalline Er3Fe4Ge4 at its relaxed geometry (PBE).

Size of the total moment: 7.910 μB per formula unit

Cell: 7.821 7.821 7.821 Å, 149.01 129.17 60.73°
Fractional positions:
Er 0.500 0.000 0.500
Er 0.871 0.871 0.000
Er 0.129 0.129 0.000
Fe 0.855 0.675 0.181
Fe 0.494 0.675 0.819
Fe 0.506 0.325 0.181
Fe 0.145 0.325 0.819
Ge 0.279 0.779 0.500
Ge 0.721 0.221 0.500
Ge 0.196 0.500 0.696
Ge 0.804 0.500 0.304

Entry from the Materials Project: crystalline Er3FeGe3 at its relaxed geometry (PBE).

Size of the total moment: 1.417 μB per formula unit

Cell: 5.577 5.577 13.494 Å, 90.00 90.00 137.30°
Fractional positions:
Er 0.792 0.208 0.400
Er 0.208 0.792 0.600
Er 0.792 0.208 0.100
Er 0.208 0.792 0.900
Er 0.506 0.494 0.250
Er 0.494 0.506 0.750
Fe 0.500 0.500 0.500
Fe 0.500 0.500 0.000
Ge 0.075 0.925 0.408
Ge 0.925 0.075 0.592
Ge 0.075 0.925 0.092
Ge 0.925 0.075 0.908
Ge 0.227 0.773 0.250
Ge 0.773 0.227 0.750

Entry from the Materials Project: crystalline Er3Fe2Ge3 at its relaxed geometry (PBE).

Size of the total moment: 0.237 μB per formula unit

Cell: 4.135 5.679 13.694 Å, 90.00 90.00 111.35°
Fractional positions:
Er 0.081 0.161 0.388
Er 0.919 0.839 0.612
Er 0.081 0.161 0.112
Er 0.919 0.839 0.888
Er 0.361 0.723 0.250
Er 0.639 0.277 0.750
Fe 0.214 0.428 0.916
Fe 0.786 0.572 0.084
Fe 0.214 0.428 0.584
Fe 0.786 0.572 0.416
Ge 0.376 0.753 0.459
Ge 0.624 0.247 0.541
Ge 0.376 0.753 0.041
Ge 0.624 0.247 0.959
Ge 0.669 0.337 0.250
Ge 0.331 0.663 0.750

| no. | DFT formation energy (eV/atom) |
| --- | --- |
| 1 | -4.232 |
| 2 | -0.121 |
| 3 | -0.099 |
| 4 | 0.426 |
| 5 | -0.073 |
| 6 | -0.098 |
| 7 | -0.171 |
| 8 | -0.441 |
| 9 | -0.323 |
| 10 | -0.490 |
| 11 | -0.663 |
| 12 | -0.619 |